#1
Material: LiFePH2O5
Method: DFT, GGA+U
State: optimized geometry Values from VASP.

Results
The calculation puts the total magnetization at 0.400 μB per atom.

```
&SYSTEM
  ibrav = 0, nat = 20, ntyp = 5
/
ATOMIC_SPECIES
Li 6.94 Li.upf
Fe 55.84 Fe.upf
P 30.97 P.upf
H 1.01 H.upf
O 16.00 O.upf
ATOMIC_POSITIONS crystal
Li 0.0000 0.0000 0.0000
Li 0.4999 0.4959 0.8776
Fe 0.0741 0.9987 0.4616
Fe 0.5750 0.4966 0.4157
P 0.4971 0.9952 0.2119
P 0.9976 0.5002 0.6656
H 0.0113 0.3598 0.2250
H 0.0185 0.6311 0.2271
H 0.5089 0.1356 0.6533
H 0.5188 0.8644 0.6500
O 0.3263 0.4964 0.6525
O 0.3619 0.2051 0.3120
O 0.3704 0.7733 0.3038
O 0.3865 0.9968 0.6625
O 0.4041 0.0021 0.0301
O 0.8259 0.9984 0.2249
O 0.8630 0.2909 0.5651
O 0.8708 0.7220 0.5736
O 0.8875 0.4980 0.2154
O 0.9038 0.4933 0.8474
CELL_PARAMETERS angstrom
4.7000 0.0000 0.0000
0.0069 5.7236 0.0000
0.0105 0.0647 8.0718
```

=====

#2
Material: LiFePH2O5
Method: DFT, GGA+U
State: optimized geometry Values from VASP.

Results
The calculation puts the total magnetization at 0.400 μB per atom.

```
&SYSTEM
  ibrav = 0, nat = 80, ntyp = 5
/
ATOMIC_SPECIES
Li 6.94 Li.upf
Fe 55.84 Fe.upf
P 30.97 P.upf
H 1.01 H.upf
O 16.00 O.upf
ATOMIC_POSITIONS crystal
Li 0.0041 0.0293 0.0000
Li 0.2473 0.5883 0.7201
Li 0.2527 0.5883 0.2201
Li 0.4959 0.0293 0.5000
Li 0.5041 0.9707 0.0000
Li 0.7473 0.4117 0.7201
Li 0.7527 0.4117 0.2201
Li 0.9959 0.9707 0.5000
Fe 0.0578 0.6139 0.2459
Fe 0.1890 0.9574 0.4715
Fe 0.3110 0.9574 0.9715
Fe 0.4422 0.6139 0.7459
Fe 0.5578 0.3861 0.2459
Fe 0.6889 0.0426 0.4715
Fe 0.8111 0.0426 0.9715
Fe 0.9422 0.3861 0.7459
P 0.0918 0.4852 0.5520
P 0.1590 0.0894 0.1694
P 0.3410 0.0894 0.6694
P 0.4082 0.4852 0.0520
P 0.5918 0.5148 0.5520
P 0.6590 0.9106 0.1694
P 0.8410 0.9106 0.6694
P 0.9082 0.5148 0.0520
H 0.0534 0.8761 0.7730
H 0.1194 0.8639 0.8765
H 0.1284 0.4084 0.8275
H 0.1920 0.3656 0.9351
H 0.3080 0.3656 0.4351
H 0.3716 0.4084 0.3275
H 0.3806 0.8639 0.3765
H 0.4466 0.8761 0.2730
H 0.5534 0.1239 0.7730
H 0.6194 0.1361 0.8765
H 0.6284 0.5916 0.8275
H 0.6920 0.6344 0.9351
H 0.8080 0.6344 0.4351
H 0.8716 0.5916 0.3275
H 0.8806 0.1361 0.3765
H 0.9466 0.1239 0.2730
O 0.0463 0.5301 0.6805
O 0.0480 0.6397 0.4422
O 0.0738 0.9706 0.8493
O 0.0750 0.9658 0.1504
O 0.0944 0.1878 0.5185
O 0.1529 0.3796 0.2137
O 0.1766 0.4868 0.8640
O 0.1766 0.6023 0.5659
O 0.2027 0.9245 0.2757
O 0.2057 0.0785 0.0411
O 0.2943 0.0785 0.5411
O 0.2973 0.9245 0.7757
O 0.3234 0.4868 0.3640
O 0.3234 0.6023 0.0659
O 0.3471 0.3796 0.7137
O 0.4056 0.1878 0.0185
O 0.4250 0.9658 0.6504
O 0.4262 0.9706 0.3493
O 0.4520 0.6397 0.9422
O 0.4537 0.5301 0.1805
O 0.5463 0.4699 0.6805
O 0.5480 0.3603 0.4422
O 0.5738 0.0294 0.8493
O 0.5750 0.0342 0.1504
O 0.5944 0.8122 0.5185
O 0.6529 0.6204 0.2137
O 0.6766 0.3977 0.5659
O 0.6766 0.5132 0.8640
O 0.7027 0.0755 0.2757
O 0.7057 0.9215 0.0411
O 0.7943 0.9215 0.5411
O 0.7973 0.0755 0.7757
O 0.8234 0.3977 0.0659
O 0.8234 0.5132 0.3640
O 0.8471 0.6204 0.7137
O 0.9056 0.8122 0.0185
O 0.9250 0.0342 0.6504
O 0.9262 0.0294 0.3493
O 0.9520 0.3603 0.9422
O 0.9537 0.4699 0.1805
CELL_PARAMETERS angstrom
16.8963 0.0000 0.0000
0.0000 5.0875 0.0000
0.0000 0.0000 10.3056
```

=====

#3
Material: LiFePH2O5
Method: DFT, GGA+U
State: optimized geometry Values from VASP.

Results
The calculation puts the total magnetization at 0.000 μB per atom.

```
&SYSTEM
  ibrav = 0, nat = 20, ntyp = 5
/
ATOMIC_SPECIES
Li 6.94 Li.upf
Fe 55.84 Fe.upf
P 30.97 P.upf
H 1.01 H.upf
O 16.00 O.upf
ATOMIC_POSITIONS crystal
Li 0.0000 0.0000 0.0000
Li 0.5004 0.2615 0.1544
Fe 0.4241 0.3855 0.6037
Fe 0.9233 0.8734 0.5505
P 0.0045 0.3165 0.3597
P 0.5040 0.9429 0.7948
H 0.0473 0.2859 0.8045
H 0.4515 0.7218 0.3711
H 0.5487 0.9724 0.3484
H 0.9529 0.5379 0.7834
O 0.1035 0.2459 0.1816
O 0.1161 0.4472 0.8065
O 0.1301 0.5675 0.4453
O 0.1328 0.1449 0.4622
O 0.1824 0.9456 0.7841
O 0.6032 0.0146 0.9729
O 0.6158 0.8111 0.3477
O 0.6297 0.6919 0.7096
O 0.6324 0.1138 0.6918
O 0.6828 0.3133 0.3703
CELL_PARAMETERS angstrom
4.8072 0.0000 0.0000
-0.0036 5.7596 0.0000
-0.0007 -1.9211 8.1784
```

=====

Stability summary: most stable #2, least stable #1.

=====

#1
Material: LiFePH2O5
Method: DFT, GGA+U
State: optimized geometry Values from VASP.

Results
The calculation puts the total magnetization at 0.400 μB per atom.

```
&SYSTEM
  ibrav = 0, nat = 40, ntyp = 5
/
ATOMIC_SPECIES
Li 6.94 Li.upf
Fe 55.84 Fe.upf
P 30.97 P.upf
H 1.01 H.upf
O 16.00 O.upf
ATOMIC_POSITIONS crystal
Li 0.1486 0.0321 0.4488
Li 0.1486 0.4679 0.9488
Li 0.8514 0.5321 0.0512
Li 0.8514 0.9679 0.5512
Fe 0.4829 0.1959 0.7098
Fe 0.4829 0.3041 0.2098
Fe 0.5171 0.6959 0.7902
Fe 0.5171 0.8041 0.2902
P 0.3011 0.5254 0.5179
P 0.3011 0.9746 0.0179
P 0.6989 0.0254 0.9821
P 0.6989 0.4746 0.4821
H 0.0636 0.6038 0.3042
H 0.0636 0.8962 0.8042
H 0.0823 0.7413 0.6282
H 0.0823 0.7587 0.1282
H 0.9177 0.2413 0.8718
H 0.9177 0.2587 0.3718
H 0.9364 0.1038 0.1958
H 0.9364 0.3962 0.6958
O 0.0427 0.6422 0.1340
O 0.0427 0.8578 0.6340
O 0.1534 0.5444 0.5936
O 0.1534 0.9556 0.0936
O 0.3020 0.0819 0.7829
O 0.3020 0.4181 0.2829
O 0.3677 0.7044 0.4842
O 0.3677 0.7956 0.9842
O 0.3982 0.0553 0.2323
O 0.3982 0.4447 0.7323
O 0.6018 0.5553 0.2677
O 0.6018 0.9447 0.7677
O 0.6323 0.2044 0.0158
O 0.6323 0.2956 0.5158
O 0.6980 0.5819 0.7171
O 0.6980 0.9181 0.2171
O 0.8466 0.0444 0.9064
O 0.8466 0.4556 0.4064
O 0.9573 0.1422 0.3660
O 0.9573 0.3578 0.8660
CELL_PARAMETERS angstrom
9.6733 0.0000 0.0000
0.0000 7.9012 0.0000
-0.5721 0.0000 5.5441
```

=====

#2
Material: LiFePH2O5
Method: DFT, GGA+U
State: optimized geometry Values from VASP.

Results
The calculation puts the total magnetization at 0.400 μB per atom.

```
&SYSTEM
  ibrav = 0, nat = 40, ntyp = 5
/
ATOMIC_SPECIES
Li 6.94 Li.upf
Fe 55.84 Fe.upf
P 30.97 P.upf
H 1.01 H.upf
O 16.00 O.upf
ATOMIC_POSITIONS crystal
Li 0.1876 0.1827 0.0000
Li 0.3124 0.6827 0.5000
Li 0.6876 0.3173 0.0000
Li 0.8124 0.8173 0.5000
Fe 0.1226 0.3717 0.4905
Fe 0.3774 0.8717 0.9905
Fe 0.6226 0.1283 0.4905
Fe 0.8774 0.6283 0.9905
P 0.1697 0.5839 0.9983
P 0.3303 0.0839 0.4983
P 0.6697 0.9161 0.9983
P 0.8303 0.4161 0.4983
H 0.0024 0.9439 0.6670
H 0.0405 0.8177 0.4531
H 0.4595 0.3177 0.9531
H 0.4976 0.4439 0.1670
H 0.5024 0.5561 0.6670
H 0.5405 0.6823 0.4531
H 0.9595 0.1823 0.9531
H 0.9976 0.0561 0.1670
O 0.0175 0.0951 0.9899
O 0.0495 0.6734 0.9502
O 0.1664 0.4089 0.8765
O 0.1934 0.5675 0.2982
O 0.2269 0.1834 0.3717
O 0.2731 0.6834 0.8717
O 0.3066 0.0675 0.7982
O 0.3336 0.9089 0.3765
O 0.4505 0.1734 0.4502
O 0.4825 0.5951 0.4899
O 0.5175 0.4049 0.9899
O 0.5495 0.8266 0.9502
O 0.6664 0.0911 0.8765
O 0.6934 0.9325 0.2982
O 0.7269 0.3166 0.3717
O 0.7731 0.8166 0.8717
O 0.8066 0.4325 0.7982
O 0.8336 0.5911 0.3765
O 0.9505 0.3266 0.4502
O 0.9825 0.9049 0.4899
CELL_PARAMETERS angstrom
11.1512 0.0000 0.0000
0.0000 8.1611 0.0000
0.0000 0.0000 5.1148
```

=====

Stability summary: most stable #2, least stable #1.